Entry from Materials Project: a relaxed structure of Sr3Nb2CoO9 (GGA+U).

- polymorph energy (0 for the lowest one) (eV/atom) = 0.0000
- formation energy (kJ/mol of formula units) = -4007

```
Sr3Nb2CoO9
1.0
13.449 0.000 0.000
0.000 5.677 0.000
-7.300 0.000 14.719
Sr Nb Co O
12 8 4 36
direct
0.165 0.020 0.062
0.165 0.480 0.562
0.166 0.003 0.405
0.166 0.497 0.905
0.169 0.018 0.731
0.169 0.482 0.231
0.831 0.518 0.769
0.831 0.982 0.269
0.834 0.503 0.095
0.834 0.997 0.595
0.835 0.520 0.438
0.835 0.980 0.938
0.001 0.508 0.665
0.001 0.992 0.165
0.494 0.027 0.170
0.494 0.473 0.670
0.506 0.527 0.330
0.506 0.973 0.830
0.999 0.008 0.835
0.999 0.492 0.335
0.000 0.000 0.500
0.000 0.500 0.000
0.500 0.000 0.000
0.500 0.500 0.500
0.010 0.697 0.107
0.010 0.803 0.607
0.013 0.691 0.438
0.013 0.809 0.938
0.015 0.694 0.776
0.015 0.806 0.276
0.162 0.030 0.559
0.162 0.051 0.885
0.162 0.449 0.385
0.162 0.470 0.059
0.169 0.030 0.226
0.169 0.470 0.726
0.363 0.514 0.570
0.363 0.986 0.070
0.397 0.548 0.370
0.397 0.952 0.870
0.480 0.219 0.742
0.480 0.281 0.242
0.520 0.719 0.758
0.520 0.781 0.258
0.603 0.048 0.130
0.603 0.452 0.630
0.637 0.014 0.930
0.637 0.486 0.430
0.831 0.530 0.274
0.831 0.970 0.774
0.838 0.530 0.941
0.838 0.551 0.615
0.838 0.949 0.115
0.838 0.970 0.441
0.985 0.194 0.724
0.985 0.306 0.224
0.987 0.191 0.062
0.987 0.309 0.562
0.990 0.197 0.393
0.990 0.303 0.893
```